No. 1
! Sm3Te4 (r2SCAN, relaxed); values from VASP
! DFT total energy, eV per atom: -28.8921
! Formation enthalpy at 0 K, meV/atom: -1625
! Total magnetization, μB/cell: 0.0
&SYSTEM
  ibrav = 0, nat = 14, ntyp = 2
/
ATOMIC_SPECIES
Sm 150.36 Sm.upf
Te 127.60 Te.upf
ATOMIC_POSITIONS crystal
Sm 0.125 0.750 0.875
Sm 0.250 0.625 0.375
Sm 0.375 0.250 0.625
Sm 0.625 0.375 0.250
Sm 0.750 0.875 0.125
Sm 0.875 0.125 0.750
Te 0.000 0.356 0.500
Te 0.000 0.856 0.500
Te 0.144 0.144 0.144
Te 0.356 0.500 0.000
Te 0.500 0.000 0.356
Te 0.500 0.000 0.856
Te 0.644 0.644 0.644
Te 0.856 0.500 0.000
CELL_PARAMETERS angstrom
-4.734 4.734 4.734
4.734 -4.734 4.734
4.734 4.734 -4.734

---

No. 2
! SmTe2 (r2SCAN, relaxed); values from VASP
! DFT total energy, eV per atom: -28.2867
! Formation enthalpy at 0 K, meV/atom: -1431
! Total magnetization, μB/cell: 0.0
&SYSTEM
  ibrav = 0, nat = 6, ntyp = 2
/
ATOMIC_SPECIES
Sm 150.36 Sm.upf
Te 127.60 Te.upf
ATOMIC_POSITIONS crystal
Sm 0.250 0.250 0.228
Sm 0.750 0.750 0.772
Te 0.250 0.250 0.871
Te 0.250 0.750 0.500
Te 0.750 0.250 0.500
Te 0.750 0.750 0.129
CELL_PARAMETERS angstrom
4.478 0.000 0.000
0.000 4.478 0.000
0.000 0.000 9.068

---

No. 3
! SmTe (r2SCAN, relaxed); values from VASP
! DFT total energy, eV per atom: -29.1895
! Formation enthalpy at 0 K, meV/atom: -1614
! Total magnetization, μB/cell: 0.0
&SYSTEM
  ibrav = 0, nat = 2, ntyp = 2
/
ATOMIC_SPECIES
Sm 150.36 Sm.upf
Te 127.60 Te.upf
ATOMIC_POSITIONS crystal
Sm 0.000 0.000 0.000
Te 0.500 0.500 0.500
CELL_PARAMETERS angstrom
0.000 3.141 3.141
3.141 0.000 3.141
3.141 3.141 0.000

---

No. 4
! Sm2UTe5 (r2SCAN, relaxed); values from VASP
! DFT total energy, eV per atom: -34.7307
! Formation enthalpy at 0 K, meV/atom: -1419
! Total magnetization, μB/cell: 5.9
&SYSTEM
  ibrav = 0, nat = 16, ntyp = 3
/
ATOMIC_SPECIES
Sm 150.36 Sm.upf
U 238.03 U.upf
Te 127.60 Te.upf
ATOMIC_POSITIONS crystal
Sm 0.000 0.000 0.000
Sm 0.000 0.000 0.329
Sm 0.000 0.000 0.658
Sm 0.500 0.500 0.156
U 0.500 0.500 0.485
U 0.500 0.500 0.815
Te 0.000 0.000 0.122
Te 0.000 0.000 0.452
Te 0.000 0.000 0.780
Te 0.000 0.500 0.907
Te 0.500 0.000 0.242
Te 0.500 0.000 0.572
Te 0.500 0.000 0.907
Te 0.500 0.500 0.034
Te 0.500 0.500 0.362
Te 0.500 0.500 0.692
CELL_PARAMETERS angstrom
4.377 0.000 0.000
0.000 4.419 0.000
0.000 0.000 26.782